ZnPd3: relaxed, PBE-GGA.

- Final energy: -18.14 eV per cell
- Crystal system: tetragonal

a b c (Å): 4.780 4.780 4.780
angles (deg): 131.03 131.03 71.77
Sites, in units of the cell vectors:
Zn: 0.000 0.000 0.000
Pd: 0.750 0.250 0.500
Pd: 0.250 0.750 0.500
Pd: 0.500 0.500 0.000


TaZn2N3: relaxed, PBE-GGA.

- Largest piezoelectric modulus: 0.7 C/m2
- MP2020-corrected energy: -43.5 eV/f.u.
- Final energy: -84.81 eV per cell
- Crystal system: orthorhombic

a b c (Å): 5.741 5.741 5.446
angles (deg): 90.00 90.00 119.37
Sites, in units of the cell vectors:
Ta: 0.331 0.331 0.513
Ta: 0.669 0.669 0.013
Zn: 0.667 0.011 0.502
Zn: 0.011 0.667 0.502
Zn: 0.333 0.989 0.002
Zn: 0.989 0.333 0.002
N: 0.670 0.989 0.125
N: 0.989 0.670 0.125
N: 0.330 0.011 0.625
N: 0.011 0.330 0.625
N: 0.347 0.347 0.146
N: 0.653 0.653 0.646


FePCl8: relaxed, PBE-GGA.

- MP2020-corrected energy: -40.7 eV/f.u.
- Final energy: -143.21 eV per cell
- Crystal system: orthorhombic

a b c (Å): 6.338 13.970 14.402
angles (deg): 90.00 90.00 90.00
Sites, in units of the cell vectors:
Fe: 0.273 0.026 0.250
Fe: 0.273 0.474 0.750
Fe: 0.727 0.526 0.250
Fe: 0.727 0.974 0.750
P: 0.955 0.250 0.000
P: 0.045 0.750 0.500
P: 0.045 0.750 0.000
P: 0.955 0.250 0.500
Cl: 0.403 0.962 0.122
Cl: 0.403 0.538 0.878
Cl: 0.597 0.462 0.378
Cl: 0.597 0.038 0.622
Cl: 0.597 0.038 0.878
Cl: 0.597 0.462 0.122
Cl: 0.403 0.538 0.622
Cl: 0.403 0.962 0.378
Cl: 0.342 0.183 0.250
Cl: 0.342 0.317 0.750
Cl: 0.658 0.683 0.250
Cl: 0.658 0.817 0.750
Cl: 0.930 0.004 0.250
Cl: 0.930 0.496 0.750
Cl: 0.070 0.504 0.250
Cl: 0.070 0.996 0.750
Cl: 0.135 0.352 0.050
Cl: 0.135 0.148 0.950
Cl: 0.865 0.852 0.450
Cl: 0.865 0.648 0.550
Cl: 0.865 0.648 0.950
Cl: 0.865 0.852 0.050
Cl: 0.135 0.148 0.550
Cl: 0.135 0.352 0.450
Cl: 0.775 0.198 0.099
Cl: 0.775 0.302 0.901
Cl: 0.225 0.698 0.401
Cl: 0.225 0.802 0.599
Cl: 0.225 0.802 0.901
Cl: 0.225 0.698 0.099
Cl: 0.775 0.302 0.599
Cl: 0.775 0.198 0.401


MoS2: relaxed, PBE-GGA.

- MP2020-corrected energy: -22.7 eV/f.u.
- Final energy: -43.43 eV per cell
- Crystal system: hexagonal

a b c (Å): 3.190 3.190 14.879
angles (deg): 90.00 90.00 120.00
Sites, in units of the cell vectors:
Mo: 0.667 0.333 0.750
Mo: 0.333 0.667 0.250
S: 0.333 0.667 0.855
S: 0.667 0.333 0.355
S: 0.333 0.667 0.645
S: 0.667 0.333 0.145


Na7Ti2Al2Si3P3O24: relaxed, PBE-GGA.

- MP2020-corrected energy: -304.4 eV/f.u.
- Size of the total moment: 0.00 μB per formula unit
- Final energy: -863.62 eV per cell
- Crystal system: triclinic

a b c (Å): 8.804 8.770 21.773
angles (deg): 89.83 90.04 119.96
Sites, in units of the cell vectors:
Na: 0.634 0.002 0.251
Na: 0.366 0.367 0.249
Na: 0.000 0.630 0.250
Na: 0.633 0.635 0.750
Na: 0.995 0.364 0.749
Na: 0.370 0.001 0.748
Na: 0.033 0.698 0.584
Na: 0.663 0.967 0.583
Na: 0.667 0.696 0.083
Na: 0.032 0.335 0.084
Na: 0.963 0.666 0.919
Na: 0.701 0.031 0.916
Na: 0.338 0.303 0.918
Na: 0.968 0.303 0.416
Na: 0.335 0.033 0.417
Na: 0.001 0.999 0.500
Na: 0.006 0.996 0.000
Na: 0.667 0.333 0.833
Na: 0.670 0.340 0.334
Na: 0.329 0.670 0.166
Na: 0.334 0.662 0.665
Ti: 0.987 0.994 0.355
Ti: 0.001 0.008 0.646
Ti: 0.014 0.007 0.145
Ti: 0.668 0.330 0.480
Ti: 0.336 0.669 0.022
Ti: 0.331 0.670 0.520
Al: 0.993 0.997 0.851
Al: 0.669 0.327 0.684
Al: 0.673 0.336 0.183
Al: 0.664 0.342 0.983
Al: 0.327 0.662 0.316
Al: 0.341 0.670 0.816
Si: 0.000 0.298 0.250
Si: 0.706 0.001 0.752
Si: 0.958 0.336 0.585
Si: 0.377 0.049 0.585
Si: 0.954 0.621 0.083
Si: 0.385 0.330 0.083
Si: 0.627 0.666 0.915
Si: 0.617 0.948 0.414
Si: 0.042 0.666 0.414
P: 0.295 0.001 0.251
P: 0.706 0.707 0.249
P: 0.289 0.290 0.752
P: 0.000 0.709 0.752
P: 0.663 0.614 0.586
P: 0.663 0.050 0.083
P: 0.044 0.377 0.915
P: 0.333 0.957 0.915
P: 0.338 0.383 0.415
O: 0.211 0.036 0.307
O: 0.830 0.795 0.305
O: 0.966 0.166 0.309
O: 0.206 0.169 0.809
O: 0.970 0.797 0.808
O: 0.837 0.039 0.810
O: 0.798 0.962 0.692
O: 0.169 0.202 0.696
O: 0.038 0.826 0.694
O: 0.789 0.825 0.193
O: 0.034 0.200 0.191
O: 0.170 0.965 0.195
O: 0.872 0.375 0.645
O: 0.502 0.134 0.644
O: 0.639 0.505 0.644
O: 0.872 0.498 0.144
O: 0.636 0.131 0.141
O: 0.505 0.370 0.144
O: 0.465 0.298 0.021
O: 0.834 0.536 0.022
O: 0.699 0.166 0.025
O: 0.464 0.165 0.523
O: 0.700 0.533 0.529
O: 0.833 0.296 0.524
O: 0.535 0.704 0.975
O: 0.160 0.460 0.973
O: 0.296 0.835 0.971
O: 0.534 0.834 0.477
O: 0.299 0.465 0.471
O: 0.167 0.703 0.475
O: 0.129 0.627 0.356
O: 0.495 0.862 0.355
O: 0.364 0.493 0.357
O: 0.129 0.498 0.859
O: 0.364 0.871 0.858
O: 0.496 0.628 0.857
O: 0.034 0.848 0.409
O: 0.819 0.981 0.411
O: 0.171 0.196 0.410
O: 0.031 0.193 0.909
O: 0.169 0.979 0.908
O: 0.823 0.843 0.909
O: 0.969 0.155 0.590
O: 0.177 0.013 0.591
O: 0.831 0.801 0.590
O: 0.968 0.814 0.091
O: 0.828 0.026 0.088
O: 0.182 0.164 0.089
O: 0.689 0.178 0.744
O: 0.474 0.313 0.744
O: 0.832 0.527 0.745
O: 0.689 0.523 0.245
O: 0.821 0.309 0.244
O: 0.477 0.167 0.242
O: 0.646 0.489 0.922
O: 0.858 0.352 0.922
O: 0.502 0.139 0.922
O: 0.641 0.146 0.421
O: 0.497 0.357 0.421
O: 0.850 0.492 0.423
O: 0.358 0.505 0.077
O: 0.149 0.641 0.075
O: 0.503 0.861 0.078
O: 0.359 0.853 0.579
O: 0.504 0.642 0.580
O: 0.151 0.508 0.577
O: 0.311 0.834 0.255
O: 0.524 0.691 0.257
O: 0.179 0.488 0.256
O: 0.302 0.473 0.757
O: 0.164 0.686 0.759
O: 0.511 0.824 0.758


U2Pd5Au5: relaxed, PBE-GGA.

- Size of the total moment: 2.55 μB per formula unit
- Final energy: -68.04 eV per cell
- Crystal system: monoclinic

a b c (Å): 5.436 5.436 9.414
angles (deg): 73.47 73.47 59.73
Sites, in units of the cell vectors:
U: 0.001 0.001 0.002
U: 0.502 0.502 0.500
Pd: 0.312 0.312 0.062
Pd: 0.562 0.562 0.813
Pd: 0.063 0.063 0.312
Pd: 0.125 0.125 0.625
Pd: 0.624 0.624 0.126
Au: 0.062 0.562 0.814
Au: 0.561 0.064 0.310
Au: 0.562 0.062 0.814
Au: 0.064 0.561 0.310
Au: 0.812 0.812 0.563


Sr2GdRuO6: relaxed, PBE-GGA.

- MP2020-corrected energy: -84.6 eV/f.u.
- Size of the total moment: 4.00 μB per formula unit
- Final energy: -80.44 eV per cell
- Crystal system: tetragonal
- Relative energy among the computed polymorphs: 14 meV per atom

a b c (Å): 5.835 5.903 5.903
angles (deg): 59.23 60.38 60.38
Sites, in units of the cell vectors:
Sr: 0.750 0.750 0.750
Sr: 0.250 0.250 0.250
Gd: 0.000 0.000 0.000
Ru: 0.500 0.500 0.500
O: 0.266 0.734 0.734
O: 0.734 0.266 0.266
O: 0.327 0.792 0.208
O: 0.673 0.208 0.792
O: 0.792 0.673 0.327
O: 0.208 0.327 0.673


TbTaO4: relaxed, PBE-GGA.

- MP2020-corrected energy: -58.6 eV/f.u.
- Final energy: -223.29 eV per cell
- Crystal system: monoclinic

a b c (Å): 5.380 7.627 7.630
angles (deg): 81.03 90.00 90.00
Sites, in units of the cell vectors:
Tb: 0.280 0.646 0.608
Tb: 0.220 0.646 0.108
Tb: 0.780 0.354 0.892
Tb: 0.720 0.354 0.392
Ta: 0.768 0.835 0.807
Ta: 0.732 0.835 0.307
Ta: 0.268 0.165 0.693
Ta: 0.232 0.165 0.193
O: 0.097 0.937 0.694
O: 0.403 0.937 0.194
O: 0.632 0.827 0.560
O: 0.868 0.827 0.060
O: 0.497 0.673 0.879
O: 0.986 0.611 0.827
O: 0.003 0.673 0.379
O: 0.514 0.611 0.327
O: 0.486 0.389 0.673
O: 0.997 0.327 0.621
O: 0.014 0.389 0.173
O: 0.503 0.327 0.121
O: 0.132 0.173 0.940
O: 0.368 0.173 0.440
O: 0.597 0.063 0.806
O: 0.903 0.063 0.306


Number 1: theoretical density 10.51 Mg/m³, formation energy from the elements -0.34 eV/atom. Number 2: theoretical density 7.51 Mg/m³, formation energy from the elements -0.68 eV/atom. Number 3: theoretical density 1.93 Mg/m³, formation energy from the elements -1.20 eV/atom. Number 4: theoretical density 4.05 Mg/m³, formation energy from the elements -1.20 eV/atom. Number 5: theoretical density 2.98 Mg/m³, formation energy from the elements -2.94 eV/atom. Number 6: theoretical density 14.58 Mg/m³, formation energy from the elements -0.27 eV/atom. Number 7: theoretical density 6.12 Mg/m³, formation energy from the elements -2.81 eV/atom. Number 8: theoretical density 8.67 Mg/m³, formation energy from the elements -3.71 eV/atom.